No. 1
Sr2Y2Mn2O7 | the Materials Project database | PBE with a Hubbard U | relaxed; spin magnetization = 10.00 μB per formula unit; formation energy = -2.971 eV per atom
1.0
-11.925 2.961 2.891
11.925 -2.961 2.891
11.925 2.961 -2.891
Sr Y Mn O
4 4 4 14
Cartesian
3.439 0.214 0.000 Sr
8.486 0.214 0.000 Sr
3.439 2.747 2.891 Sr
8.486 2.747 2.891 Sr
0.000 0.000 0.119 Y
11.925 0.000 0.119 Y
5.962 -0.347 2.707 Y
5.962 3.308 -0.184 Y
1.849 -0.033 3.021 Mn
10.076 -0.033 3.021 Mn
1.849 2.995 0.130 Mn
10.076 2.995 0.130 Mn
13.501 1.149 -0.986 O
10.349 -1.813 1.905 O
10.468 1.770 -1.553 O
13.382 -1.191 1.338 O
17.887 0.555 0.521 O
1.457 1.191 1.338 O
10.468 1.191 1.338 O
3.997 2.624 0.336 O
7.928 2.624 0.336 O
3.997 0.337 3.227 O
7.928 0.337 3.227 O
-1.576 1.813 1.905 O
13.501 1.813 1.905 O
-5.962 2.407 3.412 O



No. 2
Sr2YMn2O7 | the Materials Project database | PBE with a Hubbard U | relaxed; spin magnetization = 0.00 μB per formula unit; formation energy = -2.823 eV per atom; relative energy among the computed polymorphs = 0.0 meV/atom
1.0
5.668 0.000 0.000
0.000 5.530 0.000
-2.701 0.000 9.698
Sr Y Mn O
4 2 4 14
Cartesian
0.092 1.383 1.267 Sr
0.083 1.383 4.853 Sr
2.885 4.148 4.844 Sr
2.876 4.148 8.431 Sr
0.275 1.383 8.327 Y
2.693 4.148 1.371 Y
0.025 4.148 2.943 Mn
0.079 4.148 6.799 Mn
2.889 1.383 2.898 Mn
2.942 1.383 6.755 Mn
0.403 4.148 1.060 O
-1.217 0.046 7.052 O
-1.217 2.719 7.052 O
-0.228 4.148 4.870 O
1.522 2.769 3.047 O
1.522 5.526 3.047 O
0.328 4.148 8.830 O
2.640 1.383 0.867 O
1.445 0.004 6.650 O
1.445 2.761 6.650 O
3.195 1.383 4.828 O
4.184 2.811 2.646 O
4.184 5.485 2.646 O
2.565 1.383 8.638 O



No. 3
Sr2YMn2O7 | the Materials Project database | PBE with a Hubbard U | relaxed; spin magnetization = 7.00 μB per formula unit; formation energy = -2.603 eV per atom; relative energy among the computed polymorphs = 219.9 meV/atom
1.0
-2.656 12.781 2.633
2.656 -12.781 2.633
2.656 12.781 -2.633
Sr Y Mn O
4 2 4 14
Cartesian
0.000 4.569 0.229 Sr
0.000 8.213 0.229 Sr
2.656 4.569 2.404 Sr
2.656 8.213 2.404 Sr
0.000 0.000 0.000 Y
0.000 12.781 0.000 Y
2.656 2.012 -0.026 Mn
2.656 10.769 -0.026 Mn
0.000 2.012 2.658 Mn
0.000 10.769 2.658 Mn
2.656 3.902 -0.078 O
1.328 11.406 -1.316 O
1.328 -1.376 1.316 O
1.328 14.254 -1.316 O
1.328 1.472 1.316 O
2.656 8.880 -0.078 O
-1.328 6.391 1.316 O
1.328 6.391 1.316 O
0.000 3.902 2.711 O
-1.328 11.309 1.316 O
1.328 11.309 1.316 O
-1.328 14.157 1.316 O
1.328 14.157 1.316 O
0.000 8.880 2.711 O



No. 4
Ta9Mn11O34 | the Materials Project database | PBE with a Hubbard U | relaxed; spin magnetization = 43.18 μB per formula unit; formation energy = -2.154 eV per atom
1.0
3.001 -1.754 0.000
3.001 1.754 0.000
-2.339 0.000 58.732
Ta Mn O
9 11 34
Cartesian
0.000 0.000 0.000 Ta
-1.295 0.000 37.885 Ta
-0.635 0.000 46.472 Ta
1.312 0.000 43.352 Ta
1.508 0.000 52.638 Ta
2.972 0.000 23.354 Ta
3.072 0.000 32.217 Ta
3.321 0.000 40.138 Ta
3.467 0.000 49.518 Ta
-1.073 0.000 28.963 Mn
0.281 0.000 8.547 Mn
0.416 0.000 16.891 Mn
-0.345 0.000 55.942 Mn
0.934 0.000 26.180 Mn
2.209 0.000 5.769 Mn
1.067 0.000 34.644 Mn
2.427 0.000 14.099 Mn
4.113 0.000 2.970 Mn
4.364 0.000 11.317 Mn
4.083 0.000 19.659 Mn
0.013 0.000 2.073 O
-0.974 0.000 31.083 O
0.234 0.000 6.464 O
0.330 0.000 10.619 O
-0.665 0.000 39.839 O
0.429 0.000 14.759 O
-0.666 0.000 44.336 O
0.338 0.000 19.558 O
-0.564 0.000 48.639 O
-0.499 0.000 52.819 O
-0.325 0.000 58.161 O
0.937 0.000 28.288 O
2.181 0.000 3.721 O
2.255 0.000 7.839 O
1.127 0.000 36.760 O
2.396 0.000 12.016 O
1.287 0.000 41.343 O
2.413 0.000 16.206 O
1.376 0.000 45.804 O
1.449 0.000 49.994 O
1.531 0.000 54.447 O
2.959 0.000 25.531 O
4.016 0.000 0.555 O
3.183 0.000 21.570 O
4.187 0.000 5.140 O
3.083 0.000 34.198 O
4.310 0.000 9.247 O
4.410 0.000 13.397 O
3.324 0.000 43.009 O
4.351 0.000 17.767 O
3.383 0.000 47.243 O
3.490 0.000 51.586 O
3.647 0.000 56.589 O
4.985 0.000 23.516 O



Question: spin magnetization of number 1 (Sr2Y2Mn2O7)?
Answer: 10.00 μB per formula unit